# 1
Entry from the Materials Project database: crystalline HgC2S2N2 at its relaxed geometry (GGA-PBE).

a = 4.090 Å, b = 5.891 Å, c = 6.559 Å
α = 94.00°, β = 89.98°, γ = 110.33°
Sites, in units of the cell vectors:
Hg  0.007  0.997  0.000
C  0.743  0.481  0.775
C  0.257  0.516  0.222
S  0.885  0.747  0.674
S  0.134  0.251  0.323
N  0.642  0.289  0.842
N  0.348  0.711  0.160

Output
formation energy	0.067	eV/atom
largest piezoelectric modulus	0.1	C/m²
total moment	0.00	μB/f.u.
MP2020-corrected energy	-6.177	eV/atom
E	-41.5	eV per formula unit
V	21.109	Å³ per atom



# 2
Entry from the Materials Project database: crystalline HgC2S2N2 at its relaxed geometry (GGA-PBE).

a = 5.903 Å, b = 5.903 Å, c = 6.572 Å
α = 86.01°, β = 86.01°, γ = 40.79°
Sites, in units of the cell vectors:
Hg  0.000  0.000  0.000
C  0.261  0.261  0.776
C  0.739  0.739  0.224
S  0.127  0.127  0.679
S  0.873  0.873  0.321
N  0.358  0.358  0.839
N  0.642  0.642  0.161

Output
formation energy	0.065	eV/atom
total moment	0.00	μB/f.u.
MP2020-corrected energy	-6.179	eV/atom
E	-41.5	eV per formula unit
V	21.314	Å³ per atom



# 3
Entry from the Materials Project database: crystalline HgC2Se2N2 at its relaxed geometry (GGA-PBE).

a = 4.524 Å, b = 6.161 Å, c = 12.471 Å
α = 87.40°, β = 90.00°, γ = 90.00°
Sites, in units of the cell vectors:
Hg  0.500  0.000  0.500
Hg  0.000  0.000  0.000
C  0.231  0.554  0.624
C  0.769  0.446  0.376
C  0.269  0.554  0.124
C  0.731  0.446  0.876
Se  0.666  0.157  0.853
Se  0.834  0.157  0.353
Se  0.334  0.843  0.147
Se  0.166  0.843  0.647
N  0.767  0.633  0.886
N  0.233  0.367  0.114
N  0.733  0.633  0.386
N  0.267  0.367  0.614

Output
formation energy	0.283	eV/atom
total moment	0.00	μB/f.u.
MP2020-corrected energy	-5.778	eV/atom
E	-39.7	eV per formula unit
V	24.799	Å³ per atom



# 4
Entry from the Materials Project database: crystalline Si8HgC18 at its relaxed geometry (GGA-PBE).

a = 10.733 Å, b = 5.507 Å, c = 16.180 Å
α = 87.31°, β = 123.56°, γ = 121.86°
Sites, in units of the cell vectors:
Si  0.975  0.554  0.195
Si  0.025  0.446  0.805
Si  0.546  0.338  0.271
Si  0.454  0.662  0.729
Si  0.836  0.894  0.215
Si  0.164  0.106  0.785
Si  0.786  0.338  0.299
Si  0.214  0.662  0.701
Hg  0.000  0.500  0.500
C  0.979  0.187  0.095
C  0.021  0.813  0.905
C  0.217  0.895  0.246
C  0.783  0.105  0.754
C  0.898  0.324  0.074
C  0.102  0.676  0.926
C  0.301  0.011  0.200
C  0.699  0.989  0.800
C  0.953  0.198  0.179
C  0.047  0.802  0.821
C  0.403  0.140  0.321
C  0.597  0.860  0.679
C  0.722  0.947  0.260
C  0.278  0.053  0.740
C  0.859  0.599  0.234
C  0.141  0.401  0.766
C  0.608  0.709  0.271
C  0.392  0.291  0.729

Output
formation energy	1.260	eV/atom
total moment	1.89	μB/f.u.
E	-175.8	eV per formula unit
V	23.518	Å³ per atom



# 5
Entry from the Materials Project database: crystalline Ho2C at its relaxed geometry (GGA-PBE).

a = 3.576 Å, b = 3.576 Å, c = 6.434 Å
α = 73.87°, β = 73.87°, γ = 60.00°
Sites, in units of the cell vectors:
Ho  0.740  0.740  0.780
Ho  0.260  0.260  0.220
C  0.000  0.000  0.000

Output
formation energy	-0.300	eV/atom
E	-19.3	eV per formula unit
V	22.493	Å³ per atom



# 6
Entry from the Materials Project database: crystalline Ho4C5 at its relaxed geometry (GGA-PBE).

a = 3.644 Å, b = 6.546 Å, c = 11.915 Å
α = 90.00°, β = 90.00°, γ = 90.00°
Sites, in units of the cell vectors:
Ho  0.000  0.256  0.542
Ho  0.000  0.744  0.458
Ho  0.000  0.756  0.958
Ho  0.000  0.244  0.042
Ho  0.500  0.106  0.804
Ho  0.500  0.894  0.196
Ho  0.500  0.606  0.696
Ho  0.500  0.394  0.304
C  0.500  0.500  0.500
C  0.500  0.000  0.000
C  0.000  0.359  0.735
C  0.000  0.641  0.265
C  0.000  0.859  0.765
C  0.000  0.141  0.235
C  0.000  0.402  0.844
C  0.000  0.598  0.156
C  0.000  0.098  0.344
C  0.000  0.902  0.656

Output
formation energy	-0.337	eV/atom
E	-67.5	eV per formula unit
V	15.791	Å³ per atom



# 7
Entry from the Materials Project database: crystalline Ho3C4 at its relaxed geometry (GGA-PBE).

a = 8.067 Å, b = 8.067 Å, c = 15.922 Å
α = 90.00°, β = 90.00°, γ = 90.00°
Sites, in units of the cell vectors:
Ho  0.500  0.500  0.500
Ho  0.000  0.000  0.000
Ho  0.500  0.500  0.188
Ho  0.000  0.000  0.688
Ho  0.500  0.500  0.812
Ho  0.000  0.000  0.312
Ho  0.703  0.905  0.500
Ho  0.297  0.095  0.500
Ho  0.797  0.405  0.000
Ho  0.203  0.595  0.000
Ho  0.905  0.297  0.500
Ho  0.095  0.703  0.500
Ho  0.405  0.203  0.000
Ho  0.595  0.797  0.000
Ho  0.788  0.601  0.353
Ho  0.212  0.399  0.353
Ho  0.712  0.101  0.853
Ho  0.288  0.899  0.853
Ho  0.601  0.212  0.353
Ho  0.399  0.788  0.353
Ho  0.101  0.288  0.853
Ho  0.899  0.712  0.853
Ho  0.212  0.399  0.647
Ho  0.788  0.601  0.647
Ho  0.288  0.899  0.147
Ho  0.712  0.101  0.147
Ho  0.399  0.788  0.647
Ho  0.601  0.212  0.647
Ho  0.899  0.712  0.147
Ho  0.101  0.288  0.147
C  0.500  0.500  0.959
C  0.000  0.000  0.459
C  0.500  0.500  0.041
C  0.000  0.000  0.541
C  0.500  0.500  0.344
C  0.000  0.000  0.844
C  0.500  0.500  0.656
C  0.000  0.000  0.156
C  0.607  0.197  0.500
C  0.393  0.803  0.500
C  0.893  0.697  0.000
C  0.107  0.303  0.000
C  0.197  0.393  0.500
C  0.803  0.607  0.500
C  0.697  0.107  0.000
C  0.303  0.893  0.000
C  0.692  0.901  0.328
C  0.308  0.099  0.328
C  0.808  0.401  0.828
C  0.192  0.599  0.828
C  0.901  0.308  0.328
C  0.099  0.692  0.328
C  0.401  0.192  0.828
C  0.599  0.808  0.828
C  0.308  0.099  0.672
C  0.692  0.901  0.672
C  0.192  0.599  0.172
C  0.808  0.401  0.172
C  0.099  0.692  0.672
C  0.901  0.308  0.672
C  0.599  0.808  0.172
C  0.401  0.192  0.172
C  0.649  0.851  0.250
C  0.351  0.149  0.250
C  0.851  0.351  0.750
C  0.149  0.649  0.750
C  0.851  0.351  0.250
C  0.149  0.649  0.250
C  0.351  0.149  0.750
C  0.649  0.851  0.750

Output
formation energy	-0.333	eV/atom
total moment	0.00	μB/f.u.
E	-53.0	eV per formula unit
V	14.801	Å³ per atom



# 8
Entry from the Materials Project database: crystalline Ho15C19 at its relaxed geometry (GGA-PBE).

a = 8.130 Å, b = 8.130 Å, c = 15.394 Å
α = 90.00°, β = 90.00°, γ = 90.00°
Sites, in units of the cell vectors:
Ho  0.702  0.907  0.499
Ho  0.202  0.593  0.001
Ho  0.298  0.093  0.499
Ho  0.798  0.407  0.001
Ho  0.907  0.298  0.501
Ho  0.593  0.798  0.999
Ho  0.093  0.702  0.501
Ho  0.407  0.202  0.999
Ho  0.784  0.599  0.650
Ho  0.284  0.901  0.850
Ho  0.216  0.401  0.650
Ho  0.716  0.099  0.850
Ho  0.599  0.216  0.350
Ho  0.901  0.716  0.150
Ho  0.401  0.784  0.350
Ho  0.099  0.284  0.150
Ho  0.597  0.215  0.650
Ho  0.097  0.285  0.850
Ho  0.403  0.785  0.650
Ho  0.903  0.715  0.850
Ho  0.215  0.403  0.350
Ho  0.285  0.903  0.150
Ho  0.785  0.597  0.350
Ho  0.715  0.097  0.150
Ho  0.000  0.000  0.331
Ho  0.500  0.500  0.169
Ho  0.000  0.000  0.669
Ho  0.500  0.500  0.831
Ho  0.500  0.500  0.500
Ho  0.000  0.000  0.000
C  0.601  0.196  0.500
C  0.101  0.304  0.000
C  0.399  0.804  0.500
C  0.899  0.696  0.000
C  0.196  0.399  0.500
C  0.304  0.899  0.000
C  0.804  0.601  0.500
C  0.696  0.101  0.000
C  0.697  0.905  0.667
C  0.197  0.595  0.833
C  0.303  0.095  0.667
C  0.803  0.405  0.833
C  0.905  0.303  0.333
C  0.595  0.803  0.167
C  0.095  0.697  0.333
C  0.405  0.197  0.167
C  0.654  0.851  0.747
C  0.154  0.649  0.753
C  0.346  0.149  0.747
C  0.846  0.351  0.753
C  0.851  0.346  0.253
C  0.649  0.846  0.247
C  0.149  0.654  0.253
C  0.351  0.154  0.247
C  0.903  0.303  0.675
C  0.403  0.197  0.825
C  0.097  0.697  0.675
C  0.597  0.803  0.825
C  0.303  0.097  0.325
C  0.197  0.597  0.175
C  0.697  0.903  0.325
C  0.803  0.403  0.175
C  0.500  0.500  0.663
C  0.000  0.000  0.837
C  0.500  0.500  0.337
C  0.000  0.000  0.163
C  0.500  0.500  0.000
C  0.000  0.000  0.500

Output
formation energy	-0.325	eV/atom
total moment	0.10	μB/f.u.
E	-255.1	eV per formula unit
V	14.962	Å³ per atom



# 9
Entry from the Materials Project database: crystalline KHoC2O6 at its relaxed geometry (GGA-PBE).

a = 6.400 Å, b = 6.400 Å, c = 7.048 Å
α = 76.63°, β = 76.63°, γ = 97.03°
Sites, in units of the cell vectors:
K  0.882  0.118  0.250
K  0.118  0.882  0.750
Ho  0.408  0.592  0.250
Ho  0.592  0.408  0.750
C  0.603  0.856  0.752
C  0.144  0.397  0.748
C  0.397  0.144  0.248
C  0.856  0.603  0.252
O  0.057  0.592  0.235
O  0.408  0.943  0.265
O  0.943  0.408  0.765
O  0.592  0.057  0.735
O  0.791  0.741  0.123
O  0.259  0.209  0.377
O  0.209  0.259  0.877
O  0.741  0.791  0.623
O  0.700  0.465  0.400
O  0.535  0.300  0.100
O  0.300  0.535  0.600
O  0.465  0.700  0.900

Output
formation energy	-2.579	eV/atom
MP2020-corrected energy	-7.963	eV/atom
E	-75.5	eV per formula unit
V	13.427	Å³ per atom



# 10
Entry from the Materials Project database: crystalline LaHo4C10 at its relaxed geometry (GGA-PBE).

a = 10.372 Å, b = 10.372 Å, c = 4.093 Å
α = 88.43°, β = 88.43°, γ = 29.41°
Sites, in units of the cell vectors:
La  0.000  0.000  0.000
Ho  0.600  0.600  0.403
Ho  0.201  0.201  0.794
Ho  0.799  0.799  0.206
Ho  0.400  0.400  0.597
C  0.087  0.087  0.520
C  0.679  0.679  0.928
C  0.280  0.280  0.325
C  0.872  0.872  0.731
C  0.479  0.479  0.126
C  0.521  0.521  0.874
C  0.128  0.128  0.269
C  0.720  0.720  0.675
C  0.321  0.321  0.072
C  0.913  0.913  0.480

Output
formation energy	-0.167	eV/atom
total moment	0.01	μB/f.u.
E	-118.1	eV per formula unit
V	14.412	Å³ per atom



# 11
Entry from the Materials Project database: crystalline Ho10Mn13C18 at its relaxed geometry (GGA-PBE).

a = 8.696 Å, b = 8.696 Å, c = 8.696 Å
α = 109.47°, β = 109.47°, γ = 109.47°
Sites, in units of the cell vectors:
Ho  0.500  0.750  0.250
Ho  0.750  0.500  0.250
Ho  0.250  0.750  0.500
Ho  0.250  0.500  0.750
Ho  0.500  0.250  0.750
Ho  0.750  0.250  0.500
Ho  0.409  0.000  0.000
Ho  0.000  0.409  0.000
Ho  0.000  0.000  0.409
Ho  0.591  0.591  0.591
Mn  0.000  0.000  0.000
Mn  0.666  0.820  0.000
Mn  0.846  0.180  0.180
Mn  0.666  0.000  0.820
Mn  0.820  0.666  0.000
Mn  0.000  0.666  0.820
Mn  0.180  0.846  0.180
Mn  0.180  0.180  0.846
Mn  0.000  0.820  0.666
Mn  0.820  0.000  0.666
Mn  0.334  0.334  0.154
Mn  0.154  0.334  0.334
Mn  0.334  0.154  0.334
C  0.704  0.220  0.000
C  0.484  0.780  0.780
C  0.704  0.000  0.220
C  0.220  0.704  0.000
C  0.000  0.704  0.220
C  0.780  0.484  0.780
C  0.780  0.780  0.484
C  0.000  0.220  0.704
C  0.220  0.000  0.704
C  0.296  0.296  0.516
C  0.516  0.296  0.296
C  0.296  0.516  0.296
C  0.569  0.569  0.000
C  0.000  0.431  0.431
C  0.569  0.000  0.569
C  0.000  0.569  0.569
C  0.431  0.000  0.431
C  0.431  0.431  0.000

Output
formation energy	-0.326	eV/atom
total moment	6.05	μB/f.u.
E	-344.4	eV per formula unit
V	12.347	Å³ per atom



# 12
Entry from the Materials Project database: crystalline Ho12Mn5C15 at its relaxed geometry (GGA-PBE).

a = 5.021 Å, b = 10.420 Å, c = 10.420 Å
α = 120.00°, β = 90.00°, γ = 90.00°
Sites, in units of the cell vectors:
Ho  0.500  0.206  0.206
Ho  0.500  0.000  0.794
Ho  0.500  0.794  0.000
Ho  0.000  0.730  0.185
Ho  0.000  0.455  0.270
Ho  0.000  0.545  0.815
Ho  0.000  0.815  0.545
Ho  0.000  0.185  0.730
Ho  0.000  0.270  0.455
Ho  0.500  0.571  0.571
Ho  0.500  0.000  0.429
Ho  0.500  0.429  0.000
Mn  0.000  0.847  0.847
Mn  0.000  0.000  0.153
Mn  0.000  0.153  0.000
Mn  0.500  0.667  0.333
Mn  0.500  0.333  0.667
C  0.000  0.676  0.676
C  0.000  0.000  0.324
C  0.000  0.324  0.000
C  0.000  0.202  0.202
C  0.000  0.000  0.798
C  0.000  0.798  0.000
C  0.000  0.546  0.546
C  0.000  0.000  0.454
C  0.000  0.454  0.000
C  0.500  0.716  0.192
C  0.500  0.476  0.284
C  0.500  0.524  0.808
C  0.500  0.808  0.524
C  0.500  0.192  0.716
C  0.500  0.284  0.476

Output
formation energy	-0.364	eV/atom
E	-250.9	eV per formula unit
V	14.756	Å³ per atom



Repeat the seventh record exactly.
Entry from the Materials Project database: crystalline Ho3C4 at its relaxed geometry (GGA-PBE).

a = 8.067 Å, b = 8.067 Å, c = 15.922 Å
α = 90.00°, β = 90.00°, γ = 90.00°
Sites, in units of the cell vectors:
Ho  0.500  0.500  0.500
Ho  0.000  0.000  0.000
Ho  0.500  0.500  0.188
Ho  0.000  0.000  0.688
Ho  0.500  0.500  0.812
Ho  0.000  0.000  0.312
Ho  0.703  0.905  0.500
Ho  0.297  0.095  0.500
Ho  0.797  0.405  0.000
Ho  0.203  0.595  0.000
Ho  0.905  0.297  0.500
Ho  0.095  0.703  0.500
Ho  0.405  0.203  0.000
Ho  0.595  0.797  0.000
Ho  0.788  0.601  0.353
Ho  0.212  0.399  0.353
Ho  0.712  0.101  0.853
Ho  0.288  0.899  0.853
Ho  0.601  0.212  0.353
Ho  0.399  0.788  0.353
Ho  0.101  0.288  0.853
Ho  0.899  0.712  0.853
Ho  0.212  0.399  0.647
Ho  0.788  0.601  0.647
Ho  0.288  0.899  0.147
Ho  0.712  0.101  0.147
Ho  0.399  0.788  0.647
Ho  0.601  0.212  0.647
Ho  0.899  0.712  0.147
Ho  0.101  0.288  0.147
C  0.500  0.500  0.959
C  0.000  0.000  0.459
C  0.500  0.500  0.041
C  0.000  0.000  0.541
C  0.500  0.500  0.344
C  0.000  0.000  0.844
C  0.500  0.500  0.656
C  0.000  0.000  0.156
C  0.607  0.197  0.500
C  0.393  0.803  0.500
C  0.893  0.697  0.000
C  0.107  0.303  0.000
C  0.197  0.393  0.500
C  0.803  0.607  0.500
C  0.697  0.107  0.000
C  0.303  0.893  0.000
C  0.692  0.901  0.328
C  0.308  0.099  0.328
C  0.808  0.401  0.828
C  0.192  0.599  0.828
C  0.901  0.308  0.328
C  0.099  0.692  0.328
C  0.401  0.192  0.828
C  0.599  0.808  0.828
C  0.308  0.099  0.672
C  0.692  0.901  0.672
C  0.192  0.599  0.172
C  0.808  0.401  0.172
C  0.099  0.692  0.672
C  0.901  0.308  0.672
C  0.599  0.808  0.172
C  0.401  0.192  0.172
C  0.649  0.851  0.250
C  0.351  0.149  0.250
C  0.851  0.351  0.750
C  0.149  0.649  0.750
C  0.851  0.351  0.250
C  0.149  0.649  0.250
C  0.351  0.149  0.750
C  0.649  0.851  0.750

Output
formation energy	-0.333	eV/atom
total moment	0.00	μB/f.u.
E	-53.0	eV per formula unit
V	14.801	Å³ per atom



- Number 8 is which compound?
  Ho15C19



- What is the formula in the fourth record?
  Si8HgC18



- The highest formation energy belongs to which entry?
  Si8HgC18